First-principles (PBE) data for an optimized crystal structure of NaZrScP2SO12, as listed in the Materials Project.

The structure in extended XYZ format:
```
108
Lattice="-8.3037 -1.7500 2.6142 6.8755 -3.3155 4.5391 0.2376 19.0275 13.4924" Properties=species:S:1:pos:R:3 pbc="T T T"
Na -1.2689 4.5346 13.8788
Na 6.8020 -3.2532 4.5544
Na -3.0055 13.6708 14.4788
Na -3.2384 4.1330 7.7685
Na 1.8959 0.4639 6.1255
Na 1.9006 9.9537 12.9076
Zr -8.1993 4.9559 7.3898
Zr 0.1982 16.2144 11.5297
Zr -3.0603 10.7766 12.5289
Zr -3.2041 1.2575 5.7906
Zr 1.8411 -2.4302 4.1756
Zr 1.9348 7.0783 10.9297
Sc -8.0226 10.5658 11.3621
Sc -0.0523 2.7569 2.0693
Sc -2.8837 16.3865 16.5012
Sc -3.2171 6.8276 9.8226
Sc 2.0177 3.1797 8.1480
Sc 1.9219 12.6483 14.9617
P 4.5108 0.9272 8.6645
P 2.0363 3.7593 4.6986
P -0.2049 12.7757 12.1878
P 1.1693 9.7117 16.5001
P -5.5295 8.3134 11.8787
P -1.1285 7.8299 12.4519
P -3.6073 -2.1812 6.4487
P -0.8048 -0.1796 3.6077
P -0.3906 14.1341 17.0178
P 4.0105 13.6506 17.5910
P 1.5317 3.6395 11.5878
P 4.3341 5.6411 8.7468
S -0.9240 1.1463 8.4411
S 5.0361 11.8911 13.3483
S -2.6606 10.2825 9.0410
S -5.2418 0.2497 3.0700
S 2.4783 16.1032 14.1802
S -0.1029 6.0704 8.2092
O -1.4448 5.3334 4.7469
O -1.2741 1.6936 9.7860
O -6.7868 3.4797 7.4446
O -0.2854 14.3386 12.1814
O -2.4667 10.9310 16.9450
O -6.4551 13.7662 13.1078
O 0.2674 8.6446 15.8796
O 0.0700 12.2578 10.7782
O 5.5512 10.5323 13.1854
O -0.8987 -0.3158 8.4323
O 1.2451 3.0168 3.6246
O 5.2381 0.2034 7.5312
O -4.6096 9.4041 12.5002
O -3.0107 10.8298 10.3860
O -1.6479 9.3004 12.5837
O -3.6877 -0.6182 6.4422
O -4.4408 1.0397 4.0526
O -1.5537 0.5594 4.7545
O -1.7068 -1.2468 2.9872
O -3.3324 -2.6990 5.0391
O -4.7267 -1.1091 2.9071
O -2.6353 8.8204 9.0323
O -1.9196 7.0874 11.3779
O -4.8023 7.5896 10.7453
O 0.5294 15.2248 17.6393
O 2.1283 16.6505 15.5251
O 3.4910 15.1211 17.7228
O 1.4512 5.2025 11.5814
O 0.6981 6.8604 9.1917
O 3.5853 6.3801 9.8937
O 3.4322 4.5739 8.1263
O 1.8066 3.1217 10.1782
O 0.4123 4.7116 8.0462
O 2.5036 14.6411 14.1714
O 3.2193 12.9081 16.5171
O 0.3367 13.4103 15.8845
O 5.6095 4.9941 9.3643
O 0.1243 3.1472 12.0682
O 0.0193 6.8418 6.9242
O 1.3950 16.6205 13.2747
O 5.5106 13.7711 17.1561
O -0.7673 13.1389 18.1555
O -6.8120 8.9253 11.2962
O -1.3687 10.8071 8.5840
O -1.2291 7.1030 13.7965
O -2.5237 -2.6586 7.4204
O -6.6544 0.2044 3.4645
O -0.3906 0.7900 2.4910
O -4.4308 12.3802 12.5785
O -1.6123 12.2833 12.6682
O -3.1455 10.9125 14.6775
O -2.0074 1.6636 7.5356
O -4.7673 2.1297 6.8779
O -2.7415 3.2476 5.2630
O -1.6731 14.7460 16.4353
O -4.5335 14.8778 16.3373
O -2.9657 16.2391 14.3964
O -4.2603 6.4776 8.0204
O -1.5155 6.0251 8.6036
O -3.5553 4.8606 10.2443
O 0.4706 -0.8266 4.2252
O 3.2890 -0.9235 4.3149
O 1.7559 -2.2944 6.3242
O 3.1316 7.4843 12.6747
O 0.3716 7.9504 12.0170
O 2.3975 9.0683 10.4022
O 3.2283 1.5392 8.0820
O 0.3679 1.6710 7.9841
O 1.9357 3.0323 6.0432
O 0.8787 12.2983 13.1595
O 3.6235 11.8458 13.7427
O 1.5836 10.6813 15.3834
```

Properties
E_form   -2.954 eV per atom
Size of the total moment   0.000 μB per atom